--- i ---
This record from Materials Project describes crystalline KCa2Nb3O10 at its relaxed geometry. The functional is GGA-PBE.

Space group: Cmc2_1 (36)
V: 465.6 Å³/cell

Cell: 15.0981 15.0981 7.8721 Å, 90.00 90.00 164.96°
Fractional coordinates of all 32 atoms:
K  0.2431  0.7569  0.5000
K  0.7569  0.2431  0.0000
Ca  0.0718  0.9282  0.5104
Ca  0.0763  0.9237  0.0040
Ca  0.9237  0.0763  0.5040
Ca  0.9282  0.0718  0.0104
Nb  0.3564  0.6436  0.7553
Nb  0.3583  0.6417  0.2477
Nb  0.4981  0.5019  0.7471
Nb  0.5019  0.4981  0.2471
Nb  0.6417  0.3583  0.7477
Nb  0.6436  0.3564  0.2553
O  0.9996  0.0004  0.2111
O  0.0004  0.9996  0.7111
O  0.1259  0.8741  0.7451
O  0.1279  0.8721  0.2561
O  0.2970  0.7030  0.7903
O  0.2990  0.7010  0.2094
O  0.3588  0.6412  0.4997
O  0.3818  0.6182  0.0002
O  0.4345  0.5655  0.6800
O  0.4376  0.5624  0.3039
O  0.4816  0.5184  0.9828
O  0.5184  0.4816  0.4828
O  0.5624  0.4376  0.8039
O  0.5655  0.4345  0.1800
O  0.6182  0.3818  0.5002
O  0.6412  0.3588  0.9997
O  0.7010  0.2990  0.7094
O  0.7030  0.2970  0.2903
O  0.8721  0.1279  0.7561
O  0.8741  0.1259  0.2451


--- ii ---
This record from Materials Project describes crystalline KCa2Nb3O10 at its relaxed geometry. The functional is GGA-PBE.

Space group: P2_1/m (11)
V: 924.7 Å³/cell

Cell: 7.8549 7.8084 15.1906 Å, 90.00 97.01 90.00°
Fractional coordinates of all 64 atoms:
K  0.1306  0.2500  0.0096
K  0.3641  0.7500  0.9772
K  0.6359  0.2500  0.0228
K  0.8694  0.7500  0.9904
Ca  0.2017  0.7500  0.3508
Ca  0.2160  0.2500  0.3509
Ca  0.2881  0.7500  0.6381
Ca  0.2926  0.2500  0.6580
Ca  0.7074  0.7500  0.3420
Ca  0.7119  0.2500  0.3619
Ca  0.7840  0.7500  0.6491
Ca  0.7983  0.2500  0.6492
Nb  0.0000  0.0000  0.5000
Nb  0.0000  0.5000  0.5000
Nb  0.0677  0.5052  0.7859
Nb  0.0677  0.9948  0.7859
Nb  0.4286  0.0033  0.2133
Nb  0.4286  0.4967  0.2133
Nb  0.5000  0.0000  0.5000
Nb  0.5000  0.5000  0.5000
Nb  0.5714  0.5033  0.7867
Nb  0.5714  0.9967  0.7867
Nb  0.9323  0.0052  0.2141
Nb  0.9323  0.4948  0.2141
O  0.0439  0.2500  0.4685
O  0.0482  0.2500  0.7813
O  0.0578  0.0510  0.6271
O  0.0578  0.4490  0.6271
O  0.0698  0.7500  0.7368
O  0.0831  0.5449  0.9029
O  0.0831  0.9551  0.9029
O  0.1906  0.0123  0.2548
O  0.1906  0.4877  0.2548
O  0.2472  0.5668  0.4890
O  0.2472  0.9332  0.4890
O  0.3150  0.0108  0.7689
O  0.3150  0.4892  0.7689
O  0.3884  0.0331  0.0952
O  0.3884  0.4669  0.0952
O  0.4156  0.7500  0.2261
O  0.4365  0.2500  0.4746
O  0.4527  0.2500  0.2581
O  0.5000  0.0357  0.6279
O  0.5000  0.4643  0.6279
O  0.5000  0.5357  0.3721
O  0.5000  0.9643  0.3721
O  0.5473  0.7500  0.7419
O  0.5635  0.7500  0.5254
O  0.5844  0.2500  0.7739
O  0.6116  0.5331  0.9048
O  0.6116  0.9669  0.9048
O  0.6850  0.5108  0.2311
O  0.6850  0.9892  0.2311
O  0.7528  0.0668  0.5110
O  0.7528  0.4332  0.5110
O  0.8094  0.5123  0.7452
O  0.8094  0.9877  0.7452
O  0.9169  0.0449  0.0971
O  0.9169  0.4551  0.0971
O  0.9302  0.2500  0.2632
O  0.9422  0.5510  0.3729
O  0.9422  0.9490  0.3729
O  0.9518  0.7500  0.2187
O  0.9561  0.7500  0.5315


Least stable: i


--- i ---
This record from Materials Project describes crystalline CaLaMg14 at its relaxed geometry. The functional is GGA-PBE.

Space group: Amm2 (38)
V: 404.2 Å³/cell

Cell: 10.5639 6.6569 6.6569 Å, 59.69 90.00 90.00°
Fractional coordinates of all 16 atoms:
Ca  0.0000  0.0000  0.0000
La  0.0000  0.4999  0.4999
Mg  0.0000  0.0002  0.5085
Mg  0.0000  0.5085  0.0002
Mg  0.2524  0.1722  0.1722
Mg  0.2556  0.6724  0.6724
Mg  0.2622  0.1662  0.6674
Mg  0.2622  0.6674  0.1662
Mg  0.5000  0.0024  0.5021
Mg  0.5000  0.0037  0.0037
Mg  0.5000  0.5021  0.0024
Mg  0.5000  0.5036  0.5036
Mg  0.7378  0.1662  0.6674
Mg  0.7378  0.6674  0.1662
Mg  0.7444  0.6724  0.6724
Mg  0.7476  0.1722  0.1722


--- ii ---
This record from Materials Project describes crystalline CaLaMg14 at its relaxed geometry. The functional is GGA-PBE.

Space group: P-6m2 (187)
V: 408.0 Å³/cell

Cell: 6.7193 6.7193 10.4342 Å, 90.00 90.00 120.00°
Fractional coordinates of all 16 atoms:
Ca  0.0000  0.0000  0.0000
La  0.0000  0.0000  0.5000
Mg  0.0045  0.5023  0.0000
Mg  0.0069  0.5035  0.5000
Mg  0.1715  0.3431  0.2491
Mg  0.1715  0.3431  0.7509
Mg  0.1715  0.8285  0.2491
Mg  0.1715  0.8285  0.7509
Mg  0.4965  0.5035  0.5000
Mg  0.4965  0.9931  0.5000
Mg  0.4977  0.5023  0.0000
Mg  0.4977  0.9955  0.0000
Mg  0.6569  0.8285  0.2491
Mg  0.6569  0.8285  0.7509
Mg  0.6667  0.3333  0.2515
Mg  0.6667  0.3333  0.7485


Least stable: i


--- i ---
This record from Materials Project describes crystalline Ca2La2MgTi3O12 at its relaxed geometry. The functional is GGA-PBE.

Space group: P2_1/c (14)
V: 480.4 Å³/cell

Cell: 15.5987 5.5182 5.5807 Å, 90.00 90.00 90.00°
Fractional coordinates of all 40 atoms:
Ca  0.1208  0.0096  0.0378
Ca  0.1208  0.4904  0.5378
Ca  0.8792  0.5096  0.4622
Ca  0.8792  0.9904  0.9622
La  0.3809  0.5153  0.4686
La  0.3809  0.9847  0.9686
La  0.6191  0.0153  0.0314
La  0.6191  0.4847  0.5314
Mg  0.5000  0.0000  0.5000
Mg  0.5000  0.5000  0.0000
Ti  0.0000  0.0000  0.5000
Ti  0.0000  0.5000  0.0000
Ti  0.2452  0.0059  0.4909
Ti  0.2452  0.4941  0.9909
Ti  0.7548  0.5059  0.0091
Ti  0.7548  0.9941  0.5091
O  0.0218  0.2187  0.7813
O  0.0218  0.2813  0.2813
O  0.1216  0.5837  0.9810
O  0.1216  0.9163  0.4810
O  0.2222  0.2216  0.7834
O  0.2222  0.2784  0.2834
O  0.2687  0.7217  0.7271
O  0.2687  0.7783  0.2271
O  0.3641  0.0799  0.5164
O  0.3641  0.4201  0.0164
O  0.4778  0.7170  0.7170
O  0.4778  0.7830  0.2170
O  0.5222  0.2170  0.7830
O  0.5222  0.2830  0.2830
O  0.6359  0.5799  0.9836
O  0.6359  0.9201  0.4836
O  0.7313  0.2217  0.7729
O  0.7313  0.2783  0.2729
O  0.7778  0.7216  0.7166
O  0.7778  0.7784  0.2166
O  0.8784  0.0837  0.5190
O  0.8784  0.4163  0.0190
O  0.9782  0.7187  0.7187
O  0.9782  0.7813  0.2187


--- ii ---
This record from Materials Project describes crystalline Ca2La2MgTi3O12 at its relaxed geometry. The functional is GGA-PBE.

Space group: P1 (1)
V: 240.7 Å³/cell

Cell: 5.5258 5.5650 7.8286 Å, 89.94 89.96 89.90°
Fractional coordinates of all 20 atoms:
Ca  0.0000  0.0000  0.0000
Ca  0.4950  0.4327  0.4836
La  0.0093  0.9444  0.4807
La  0.5157  0.5012  0.0036
Mg  0.5058  0.9697  0.2416
Ti  0.0061  0.4679  0.2424
Ti  0.0072  0.4689  0.7410
Ti  0.5064  0.9712  0.7432
O  0.0805  0.4509  0.9879
O  0.2147  0.1909  0.2798
O  0.2231  0.1892  0.7010
O  0.2838  0.6746  0.2827
O  0.2864  0.6822  0.6985
O  0.4256  0.9512  0.9807
O  0.5813  0.9863  0.5024
O  0.7268  0.2515  0.7833
O  0.7308  0.2588  0.2039
O  0.7913  0.7499  0.7846
O  0.8005  0.7469  0.2003
O  0.9241  0.4815  0.4958


Least stable: i